# 1
The following is a GGA+U calculation of a relaxed structure of Li15Fe15SiO32, from the Materials Project.

a b c (Å): 6.6867 10.6304 10.6780
angles (deg): 90.46 90.08 90.12
Last column: nearest neighbours and their distance in Å.
Positions (direct):
Li1 0.0000 0.0000 0.0000  4 O 1.99-2.22
Li2 0.0008 0.0615 0.4994  4 O 2.02-2.12
Li3 0.0047 0.5628 0.5577  4 O 2.00-2.14
Li4 0.2465 0.7520 0.9974  4 O 2.01-2.20
Li5 0.2481 0.2516 0.0689  4 O 1.95-2.06
Li6 0.2508 0.8171 0.4973  4 O 2.02-2.10
Li7 0.2525 0.3204 0.5528  3 O 1.98-2.04
Li8 0.4984 0.7517 0.7542  4 O 2.01-2.08
Li9 0.4991 0.8175 0.2529  4 O 2.03-2.11
Li10 0.4997 0.3191 0.3163  4 O 1.98-2.21
Li11 0.5033 0.2579 0.8250  4 O 2.04-2.10
Li12 0.7455 0.5635 0.3085  3 O 1.93-2.06
Li13 0.7495 0.0616 0.2524  4 O 2.02-2.03
Li14 0.7514 0.9978 0.7534  4 O 2.02-2.16
Li15 0.7643 0.4965 0.8256  3 O 1.97-2.13
Fe1 0.0019 0.2542 0.8235  4 O 1.87-1.97
Fe2 0.0054 0.7476 0.7482  4 O 1.90-1.94
Fe3 0.2464 0.5628 0.3176  4 O 1.87-1.96
Fe4 0.2507 0.0671 0.2490  4 O 1.90-1.92
Fe5 0.2538 0.9964 0.7504  4 O 1.90-1.94
Fe6 0.4948 0.4917 0.0571  4 O 1.88-1.93
Fe7 0.4963 0.5682 0.5677  4 O 1.89-1.92
Fe8 0.4986 0.9966 0.9978  4 O 1.89-1.96
Fe9 0.5026 0.0628 0.4962  4 O 1.91-1.93
Fe10 0.7492 0.7499 0.9967  4 O 1.88-1.96
Fe11 0.7509 0.2448 0.0734  4 O 1.88-1.92
Fe12 0.7509 0.3198 0.5686  4 O 1.90-1.94
Fe13 0.7510 0.8158 0.4989  4 O 1.91-1.93
Fe14 0.9969 0.3158 0.3218  4 O 1.90-1.96
Fe15 0.9993 0.8190 0.2518  4 O 1.91-1.94
Si1 0.2501 0.5040 0.8135  4 O 1.64-1.68
O1 0.0025 0.4876 0.2753  2 Fe 1.87-1.90, 1 Li 1.93
O2 0.0126 0.9909 0.3135  2 Fe 1.92-1.94, 2 Li 2.02-2.12
O3 0.0148 0.0757 0.8067  2 Fe 1.90-1.91, 1 Li 2.02
O4 0.0413 0.5664 0.7569  1 Si 1.66
O5 0.2380 0.7431 0.3142  2 Fe 1.91-1.92, 2 Li 2.03-2.10
O6 0.2393 0.3512 0.7744  1 Si 1.68
O7 0.2394 0.8260 0.8138  2 Fe 1.90-1.94, 2 Li 2.01-2.12
O8 0.2407 0.2456 0.2609  2 Fe 1.90-1.91, 2 Li 1.99-2.05
O9 0.2596 0.0582 0.0708  2 Fe 1.90, 2 Li 1.99-2.06
O10 0.2634 0.0006 0.5719  2 Fe 1.91, 2 Li 2.03-2.10
O11 0.2661 0.5011 0.4894  2 Fe 1.89-1.96, 2 Li 2.00-2.04
O12 0.2691 0.5486 0.9608  1 Si 1.64
O13 0.4577 0.5575 0.7457  1 Si 1.67
O14 0.4824 0.5035 0.2358  2 Fe 1.91, 1 Li 2.02
O15 0.4883 0.0022 0.3254  2 Fe 1.92-1.93, 2 Li 2.02-2.11
O16 0.4901 0.0615 0.8266  2 Fe 1.90-1.96, 2 Li 2.03-2.09
O17 0.5083 0.8249 0.0582  2 Fe 1.91-1.94, 2 Li 2.02-2.08
O18 0.5098 0.7463 0.5637  2 Fe 1.90-1.91, 2 Li 2.02-2.04
O19 0.5113 0.2423 0.5083  2 Fe 1.91, 1 Li 1.98
O20 0.5130 0.3177 0.0073  2 Fe 1.91-1.93, 2 Li 2.02-2.04
O21 0.7188 0.5745 0.9909  2 Fe 1.88, 1 Li 1.97
O22 0.7364 0.4921 0.5123  2 Fe 1.89-1.94, 1 Li 2.00
O23 0.7393 0.0646 0.0623  2 Fe 1.89-1.92, 2 Li 1.99-2.03
O24 0.7404 0.9873 0.5604  2 Fe 1.91-1.93, 2 Li 2.02-2.06
O25 0.7559 0.2519 0.2519  2 Fe 1.90-1.91, 2 Li 1.98-2.02
O26 0.7596 0.7562 0.3276  2 Fe 1.92-1.93, 2 Li 2.03-2.06
O27 0.7640 0.3192 0.7479  2 Fe 1.92, 2 Li 2.04-2.05
O28 0.7659 0.8078 0.8228  2 Fe 1.90-1.96, 1 Li 2.02
O29 0.9893 0.2557 0.4950  2 Fe 1.90-1.96, 2 Li 1.98-2.07
O30 0.9886 0.8127 0.0734  2 Fe 1.91, 1 Li 2.01
O31 0.9896 0.2929 0.9943  2 Fe 1.87-1.88, 1 Li 1.95
O32 0.9920 0.7526 0.5710  2 Fe 1.90-1.91, 2 Li 2.02

Properties
Symmetry: P1, No. 1
Energy of formation in kJ/mol of atoms: -185
Total moment in μB per atom: 1.190
Calculated volume in Å³/cell: 759.0



# 2
The following is a GGA+U calculation of a relaxed structure of HoZnW2O6, from the Materials Project.

a b c (Å): 5.8373 5.5075 7.8787
angles (deg): 90.00 92.10 90.00
Last column: nearest neighbours and their distance in Å.
Positions (direct):
Ho1 0.1782 0.0000 0.2390  4 O 2.17-2.42
Ho2 0.8218 0.5000 0.7610  4 O 2.17-2.42
Zn1 0.2000 0.0112 0.7712  3 O 1.95-2.08
Zn2 0.8000 0.5112 0.2288  3 O 1.95-2.08
W1 0.2649 0.5226 0.5004  6 O 2.03-2.20
W2 0.2675 0.5306 0.0040  6 O 2.11-2.21
W3 0.7325 0.0306 0.9960  6 O 2.11-2.21
W4 0.7351 0.0226 0.4996  6 O 2.03-2.20
O1 0.0488 0.2167 0.5760  1 Zn 2.08, 2 W 2.19-2.20
O2 0.0552 0.2154 0.9406  1 Zn 1.96, 1 W 2.18
O3 0.2058 0.6590 0.7406  1 Zn 1.95, 1 W 2.08
O4 0.2708 0.3896 0.2604  2 W 2.03-2.16, 1 Ho 2.22
O5 0.4095 0.8806 0.0456  2 W 2.11-2.12, 1 Ho 2.17
O6 0.4351 0.8490 0.4306  2 W 2.05-2.14, 1 Ho 2.25
O7 0.5649 0.3490 0.5694  2 W 2.05-2.14, 1 Ho 2.25
O8 0.5905 0.3806 0.9544  2 W 2.11-2.12, 1 Ho 2.17
O9 0.7292 0.8896 0.7396  2 W 2.03-2.16, 1 Ho 2.22
O10 0.7942 0.1590 0.2594  1 Zn 1.95, 1 W 2.08
O11 0.9448 0.7154 0.0594  1 Zn 1.96, 1 W 2.18
O12 0.9512 0.7167 0.4240  1 Zn 2.08, 2 W 2.19-2.20

Properties
Symmetry: P2_1, No. 4
Energy of formation in kJ/mol of atoms: -220
Total moment in μB per atom: 0.500
Calculated volume in Å³/cell: 253.1